Record 1
Density functional theory data (GGA-PBE) for a geometry-optimized Nb2CrRu structure.

Cell and atoms, written as extended XYZ:
```
4
Lattice="0.000 3.146 3.146 3.146 0.000 3.146 3.146 3.146 0.000" Properties=species:S:1:pos:R:3 pbc="T T T"
Nb 1.573 1.573 1.573
Nb 4.720 4.720 4.720
Cr 0.000 0.000 0.000
Ru 3.146 3.146 3.146
```

Properties
calculated volume: 15.58 Å³/atom
energy of formation: -13 kJ per mole of atoms
raw total energy: -0.729 Ry/atom


Record 2
Density functional theory data (GGA-PBE) for a geometry-optimized NbCr3S8 structure.

Cell and atoms, written as extended XYZ:
```
12
Lattice="6.765 0.000 0.000 3.268 5.943 0.000 3.267 1.923 5.638" Properties=species:S:1:pos:R:3 pbc="T T T"
Nb 0.000 0.000 0.000
Cr 1.634 0.962 2.819
Cr 1.634 2.972 0.000
Cr 3.382 0.000 0.000
S 3.253 1.925 1.379
S 6.547 5.862 4.203
S 5.014 2.959 4.241
S 5.015 4.959 1.434
S 8.285 2.908 4.204
S 8.286 4.907 1.397
S 6.753 2.004 1.435
S 10.047 5.942 4.259
```

Properties
calculated volume: 18.89 Å³/atom
energy of formation: -93 kJ per mole of atoms
raw total energy: -0.488 Ry/atom


Record 3
Density functional theory data (GGA-PBE) for a geometry-optimized NbCrS5 structure.

Cell and atoms, written as extended XYZ:
```
14
Lattice="8.897 0.000 0.000 0.000 3.405 0.000 -4.254 0.000 9.021" Properties=species:S:1:pos:R:3 pbc="T T T"
Nb 1.409 0.851 1.243
Nb 3.234 2.554 7.779
Cr -1.067 2.554 3.609
Cr 5.710 0.851 5.413
S -0.459 2.554 1.215
S -1.554 2.554 5.846
S 0.596 0.851 3.698
S 2.960 2.554 0.157
S 3.056 2.554 2.209
S 1.587 0.851 6.813
S 1.683 0.851 8.864
S 4.046 2.554 5.324
S 6.196 0.851 3.175
S 5.102 0.851 7.807
```

Properties
calculated volume: 19.52 Å³/atom
energy of formation: -93 kJ per mole of atoms
raw total energy: -0.469 Ry/atom


Record 4
Density functional theory data (GGA-PBE) for a geometry-optimized Nb3CrSe6 structure.

Cell and atoms, written as extended XYZ:
```
20
Lattice="6.054 0.000 0.000 -3.027 5.243 0.000 0.000 0.000 12.721" Properties=species:S:1:pos:R:3 pbc="T T T"
Nb 0.000 0.000 0.000
Nb 0.000 0.000 6.361
Nb 0.000 3.495 0.008
Nb 0.000 3.495 6.353
Nb 3.027 1.748 6.368
Nb 3.027 1.748 12.713
Cr 0.000 3.495 3.180
Cr 3.027 1.748 9.541
Se -0.975 1.750 11.040
Se -1.999 3.523 8.042
Se 0.975 1.750 8.042
Se -1.024 5.212 11.040
Se 2.003 0.030 1.682
Se 1.028 1.719 4.679
Se 1.999 3.523 11.040
Se 1.024 5.212 8.042
Se 4.051 0.030 4.679
Se 2.052 3.493 1.682
Se 5.026 1.719 1.682
Se 4.002 3.493 4.679
```

Properties
calculated volume: 20.19 Å³/atom
energy of formation: -107 kJ per mole of atoms
raw total energy: -0.509 Ry/atom


Record 5
Density functional theory data (GGA-PBE) for a geometry-optimized Nb4Cr7Si8 structure.

Cell and atoms, written as extended XYZ:
```
76
Lattice="13.231 0.000 0.000 0.000 4.860 0.000 0.000 0.000 15.917" Properties=species:S:1:pos:R:3 pbc="T T T"
Nb 0.554 1.215 1.466
Nb 0.898 3.645 3.158
Nb 1.763 1.215 8.633
Nb 3.299 1.215 15.492
Nb 3.317 3.645 7.533
Nb 4.853 3.645 0.674
Nb 5.717 1.215 11.117
Nb 6.061 3.645 9.424
Nb 7.170 1.215 6.493
Nb 7.514 3.645 4.800
Nb 8.378 1.215 15.243
Nb 9.914 1.215 8.384
Nb 9.933 3.645 0.425
Nb 11.469 3.645 7.284
Nb 12.333 1.215 12.759
Nb 12.677 3.645 14.451
Cr 0.811 2.467 6.029
Cr 0.811 4.822 6.029
Cr 1.676 3.645 15.857
Cr 1.797 3.645 10.432
Cr 1.807 2.472 13.109
Cr 1.807 4.818 13.109
Cr 2.501 1.215 3.971
Cr 4.115 3.645 11.930
Cr 4.808 0.042 5.151
Cr 4.808 2.388 5.151
Cr 4.819 1.215 2.473
Cr 4.939 1.215 7.898
Cr 5.805 0.038 13.988
Cr 5.805 2.392 13.988
Cr 7.427 2.467 1.929
Cr 7.427 4.822 1.929
Cr 8.292 3.645 8.019
Cr 8.412 3.645 13.444
Cr 8.423 2.472 10.766
Cr 8.423 4.818 10.766
Cr 9.116 1.215 3.987
Cr 10.730 3.645 11.946
Cr 11.424 0.042 2.808
Cr 11.424 2.388 2.808
Cr 11.434 1.215 5.485
Cr 11.555 1.215 0.060
Cr 12.420 0.038 9.888
Cr 12.420 2.392 9.888
Si 0.041 1.215 4.014
Si 0.664 3.645 8.246
Si 0.674 1.215 14.857
Si 1.148 1.215 11.110
Si 2.764 3.645 4.889
Si 2.856 2.440 1.897
Si 2.856 4.850 1.897
Si 2.994 1.215 6.325
Si 3.622 3.645 14.284
Si 3.760 0.010 9.855
Si 3.760 2.420 9.855
Si 3.851 1.215 12.847
Si 5.467 3.645 3.151
Si 5.941 3.645 6.899
Si 5.951 1.215 0.288
Si 6.575 3.645 11.972
Si 6.656 1.215 3.945
Si 7.280 3.645 15.629
Si 7.290 1.215 9.018
Si 7.764 1.215 12.765
Si 9.380 3.645 3.070
Si 9.471 2.440 6.062
Si 9.471 4.850 6.062
Si 9.609 1.215 1.633
Si 10.238 3.645 9.592
Si 10.376 0.010 14.020
Si 10.376 2.420 14.020
Si 10.467 1.215 11.028
Si 12.083 3.645 4.807
Si 12.557 3.645 1.060
Si 12.567 1.215 7.671
Si 13.190 3.645 11.903
```

Properties
calculated volume: 13.47 Å³/atom
energy of formation: -41 kJ per mole of atoms
raw total energy: -0.619 Ry/atom
energy relative to the lowest polymorph listed for this composition: 0.014 eV/atom


Record 6
Density functional theory data (GGA-PBE) for a geometry-optimized Nb3Cr8Si structure.

Cell and atoms, written as extended XYZ:
```
12
Lattice="4.849 0.000 0.000 -2.425 4.200 0.000 0.000 0.000 7.959" Properties=species:S:1:pos:R:3 pbc="T T T"
Nb 0.000 0.000 0.000
Nb 0.000 0.000 3.065
Nb 2.425 1.400 6.949
Cr 0.000 1.381 5.467
Cr -1.229 3.509 5.467
Cr 0.000 2.800 3.501
Cr 0.000 2.800 7.489
Cr 2.425 0.038 1.543
Cr 1.245 2.081 1.543
Cr 1.229 3.509 5.467
Cr 3.604 2.081 1.543
Si 2.425 1.400 4.010
```

Properties
calculated volume: 13.51 Å³/atom
energy of formation: -2 kJ per mole of atoms
raw total energy: -0.694 Ry/atom


Record 7
Density functional theory data (GGA-PBE) for a geometry-optimized Nb2Cr3Si3 structure.

Cell and atoms, written as extended XYZ:
```
16
Lattice="4.862 0.000 0.000 0.000 6.326 3.569 0.000 -6.326 3.569" Properties=species:S:1:pos:R:3 pbc="T T T"
Nb 0.000 0.000 0.000
Nb 0.000 -1.533 2.444
Nb 0.000 1.533 2.444
Nb 2.431 0.000 3.254
Cr 1.227 -2.083 5.143
Cr 1.227 2.083 5.143
Cr 2.431 -4.714 4.277
Cr 2.431 4.714 4.277
Cr 3.635 -2.083 5.143
Cr 3.635 2.083 5.143
Si 0.000 -3.751 3.694
Si 0.000 0.000 4.526
Si 0.000 3.751 3.694
Si 2.431 -2.607 2.998
Si 2.431 2.607 2.998
Si 2.431 0.000 5.944
```

Properties
calculated volume: 13.72 Å³/atom
energy of formation: -37 kJ per mole of atoms
raw total energy: -0.631 Ry/atom


Record 8
Density functional theory data (GGA-PBE) for a geometry-optimized Nb4Cr2Si5 structure.

Cell and atoms, written as extended XYZ:
```
22
Lattice="-3.946 8.147 2.479 3.946 -8.147 2.479 3.946 8.147 -2.479" Properties=species:S:1:pos:R:3 pbc="T T T"
Nb 5.874 1.037 0.000
Nb 0.896 2.337 0.000
Nb 4.843 5.810 0.000
Nb 1.928 7.110 0.000
Nb 2.019 1.037 2.479
Nb -0.896 2.337 2.479
Nb 3.050 5.810 2.479
Nb -1.928 7.110 2.479
Cr 3.946 -3.152 1.240
Cr 3.946 3.152 1.240
Cr 0.000 4.995 1.240
Cr 0.000 11.299 1.240
Si 3.299 1.147 0.000
Si 2.320 -4.596 2.479
Si 0.000 0.000 1.240
Si 2.320 4.596 0.000
Si 3.299 -1.147 2.479
Si 0.648 9.294 0.000
Si 1.627 3.551 2.479
Si 0.000 0.000 3.719
Si 1.627 12.743 0.000
Si 0.648 6.999 2.479
```

Properties
calculated volume: 14.49 Å³/atom
energy of formation: -47 kJ per mole of atoms
raw total energy: -0.619 Ry/atom


Record 9
Density functional theory data (GGA-PBE) for a geometry-optimized Nb4Cr7Si8 structure.

Cell and atoms, written as extended XYZ:
```
76
Lattice="13.231 0.000 0.000 0.000 4.855 0.000 0.000 0.000 15.810" Properties=species:S:1:pos:R:3 pbc="T T T"
Nb 0.854 1.214 3.088
Nb 1.602 1.214 15.724
Nb 1.772 3.641 8.571
Nb 3.271 1.214 7.482
Nb 3.345 3.641 15.387
Nb 4.843 1.214 0.666
Nb 5.013 3.641 7.819
Nb 5.762 3.641 10.993
Nb 7.469 1.214 4.816
Nb 8.218 1.214 7.991
Nb 8.388 3.641 15.144
Nb 9.886 1.214 0.423
Nb 9.960 3.641 8.327
Nb 11.459 1.214 7.239
Nb 11.629 3.641 0.086
Nb 12.377 3.641 12.721
Cr 0.629 3.641 1.507
Cr 0.782 0.055 5.962
Cr 0.782 2.372 5.962
Cr 1.781 1.214 10.363
Cr 1.803 0.048 13.027
Cr 1.803 2.379 13.027
Cr 2.482 3.641 3.959
Cr 4.134 1.214 11.863
Cr 4.813 2.475 5.122
Cr 4.813 4.807 5.122
Cr 4.835 3.641 2.458
Cr 5.833 2.482 13.867
Cr 5.833 4.800 13.867
Cr 5.986 1.214 9.412
Cr 7.245 3.641 6.398
Cr 7.398 0.055 1.943
Cr 7.398 2.372 1.943
Cr 8.396 1.214 13.352
Cr 8.418 0.048 10.688
Cr 8.418 2.379 10.688
Cr 9.097 3.641 3.946
Cr 10.749 1.214 11.851
Cr 11.428 2.475 2.783
Cr 11.428 4.807 2.783
Cr 11.450 3.641 5.447
Cr 12.449 2.482 9.848
Cr 12.449 4.800 9.848
Cr 12.602 1.214 14.303
Si 0.052 3.641 3.920
Si 0.654 1.214 8.195
Si 0.732 3.641 14.831
Si 1.186 3.641 11.038
Si 2.760 1.214 4.827
Si 2.844 2.441 1.925
Si 2.844 4.841 1.925
Si 2.926 3.641 6.246
Si 3.689 1.214 14.151
Si 3.772 0.014 9.830
Si 3.772 2.414 9.830
Si 3.856 3.641 12.732
Si 5.430 1.214 3.133
Si 5.884 1.214 6.926
Si 5.962 3.641 0.290
Si 6.564 1.214 11.825
Si 6.667 3.641 3.985
Si 7.269 1.214 15.520
Si 7.347 3.641 8.884
Si 7.801 3.641 12.676
Si 9.375 1.214 3.078
Si 9.459 2.441 5.980
Si 9.459 4.841 5.980
Si 9.542 3.641 1.659
Si 10.305 1.214 9.564
Si 10.387 0.014 13.885
Si 10.387 2.414 13.885
Si 10.471 3.641 10.983
Si 12.045 1.214 4.771
Si 12.499 1.214 0.979
Si 12.577 3.641 7.615
Si 13.179 1.214 11.890
```

Properties
calculated volume: 13.36 Å³/atom
energy of formation: -42 kJ per mole of atoms
raw total energy: -0.620 Ry/atom
energy relative to the lowest polymorph listed for this composition: 0.000 eV/atom


Record 10
Density functional theory data (GGA-PBE) for a geometry-optimized TiNbCr4 structure.

Cell and atoms, written as extended XYZ:
```
6
Lattice="0.000 3.453 3.453 3.453 0.000 3.453 3.453 3.453 0.000" Properties=species:S:1:pos:R:3 pbc="T T T"
Ti 0.000 0.000 0.000
Nb 5.180 5.180 5.180
Cr 2.589 2.589 2.589
Cr 4.317 4.317 2.589
Cr 4.317 2.589 4.317
Cr 2.589 4.317 4.317
```

Properties
calculated volume: 13.73 Å³/atom
energy of formation: -9 kJ per mole of atoms
raw total energy: -0.700 Ry/atom


Record 11
Density functional theory data (GGA-PBE) for a geometry-optimized NbVCr structure.

Cell and atoms, written as extended XYZ:
```
6
Lattice="-2.476 2.523 3.524 2.476 -2.523 3.524 2.476 2.523 -3.524" Properties=species:S:1:pos:R:3 pbc="T T T"
Nb 0.000 1.262 0.873
Nb 2.476 1.262 2.652
V 2.476 0.000 0.000
V 0.000 0.000 3.524
Cr 1.238 1.262 -1.762
Cr 1.238 -1.262 1.762
```

Properties
calculated volume: 14.68 Å³/atom
energy of formation: -9 kJ per mole of atoms
raw total energy: -0.713 Ry/atom


Record 12
Density functional theory data (GGA-PBE) for a geometry-optimized ZrNbCr4 structure.

Cell and atoms, written as extended XYZ:
```
6
Lattice="0.000 3.527 3.527 3.527 0.000 3.527 3.527 3.527 0.000" Properties=species:S:1:pos:R:3 pbc="T T T"
Zr 0.000 0.000 0.000
Nb 5.291 5.291 5.291
Cr 2.647 2.647 2.647
Cr 4.408 4.408 2.647
Cr 4.408 2.647 4.408
Cr 2.647 4.408 4.408
```

Properties
calculated volume: 14.63 Å³/atom
energy of formation: -4 kJ per mole of atoms
raw total energy: -0.704 Ry/atom


Number 7 is which compound? Nb2Cr3Si3